VASP calculation (GGA+U) on a relaxed Na4VHO5 crystal.

```
data_Na4VHO5
_space_group_name_H-M_alt 'P n m a'
_space_group_IT_number 62
_space_group_name_Hall '-P 2ac 2n'
_cell_length_a 9.1352
_cell_length_b 7.5443
_cell_length_c 8.4077
_cell_angle_alpha 90.00
_cell_angle_beta 90.00
_cell_angle_gamma 90.00
loop_
_atom_site_label
_atom_site_fract_x
_atom_site_fract_y
_atom_site_fract_z
Na1 0.0000 0.0000 0.0000
Na2 0.1269 0.2500 0.2593
Na3 0.1291 0.5127 0.6536
V1 0.1371 0.7500 0.3495
H1 0.1658 0.7500 0.9473
O1 0.0154 0.2500 0.5222
O2 0.1180 0.7500 0.8437
O3 0.1290 0.5597 0.2318
O4 0.2065 0.2500 0.9668
```

Magnetic moment   0.00 μB/f.u.
Crystal system   orthorhombic
Energy of formation   -2211 kJ/mol of formula units

---

VASP calculation (GGA+U) on a relaxed Na2H4WO6 crystal.

```
data_Na2H4WO6
_space_group_name_H-M_alt 'P b c a'
_space_group_IT_number 61
_space_group_name_Hall '-P 2ac 2ab'
_cell_length_a 8.6854
_cell_length_b 10.8321
_cell_length_c 13.8389
_cell_angle_alpha 90.00
_cell_angle_beta 90.00
_cell_angle_gamma 90.00
loop_
_atom_site_label
_atom_site_fract_x
_atom_site_fract_y
_atom_site_fract_z
Na1 0.1549 0.0043 0.0871
Na2 0.2421 0.0534 0.8521
H1 0.0648 0.6703 0.3356
H2 0.0691 0.6078 0.2338
H3 0.1193 0.1488 0.6717
H4 0.2246 0.7183 0.6764
W1 0.0136 0.1986 0.4755
O1 0.0472 0.5902 0.3027
O2 0.0511 0.6786 0.8997
O3 0.0588 0.1391 0.9577
O4 0.1312 0.6520 0.1139
O5 0.1842 0.1059 0.4604
O6 0.2249 0.1413 0.6985
```

Magnetic moment   0.00 μB/f.u.
Crystal system   orthorhombic
Energy of formation   -2236 kJ/mol of formula units

---

VASP calculation (GGA+U) on a relaxed Nd2V2H2Se4O17 crystal.

```
data_Nd2V2H2Se4O17
_space_group_name_H-M_alt 'C 1 2/c 1'
_space_group_IT_number 15
_space_group_name_Hall '-C 2yc'
_cell_length_a 25.6654
_cell_length_b 7.0596
_cell_length_c 8.3552
_cell_angle_alpha 90.00
_cell_angle_beta 91.19
_cell_angle_gamma 90.00
loop_
_atom_site_label
_atom_site_fract_x
_atom_site_fract_y
_atom_site_fract_z
Nd1 0.2191 0.0756 0.2965
V1 0.0506 0.2764 0.1991
H1 0.0076 0.1662 0.8410
Se1 0.1038 0.0853 0.5249
Se2 0.1769 0.4302 0.9467
O1 0.0000 0.0834 0.7500
O2 0.0155 0.2822 0.3909
O3 0.0749 0.4873 0.1769
O4 0.0778 0.1439 0.0137
O5 0.1085 0.1345 0.3189
O6 0.1688 0.0359 0.5475
O7 0.1967 0.3514 0.1318
O8 0.2005 0.2674 0.8111
O9 0.2282 0.4044 0.4303
```

Magnetic moment   0.01 μB/f.u.
Crystal system   monoclinic
Energy of formation   -5386 kJ/mol of formula units

---

VASP calculation (GGA+U) on a relaxed NiPH12O9 crystal.

```
data_NiPH12O9
_space_group_name_H-M_alt 'P n n m'
_space_group_IT_number 58
_space_group_name_Hall '-P 2 2n'
_cell_length_a 11.3158
_cell_length_b 18.5253
_cell_length_c 7.3134
_cell_angle_alpha 90.00
_cell_angle_beta 90.00
_cell_angle_gamma 90.00
loop_
_atom_site_label
_atom_site_fract_x
_atom_site_fract_y
_atom_site_fract_z
Ni1 0.0000 0.0000 0.0000
Ni2 0.0000 0.5000 0.5000
Ni3 0.1996 0.1754 0.5000
P1 0.1131 0.3577 0.0000
P2 0.2067 0.8130 0.5000
H1 0.0058 0.8181 0.3166
H2 0.0513 0.3668 0.3882
H3 0.0777 0.2440 0.2374
H4 0.0853 0.1317 0.1082
H5 0.0940 0.6640 0.1816
H6 0.1243 0.4849 0.1853
H7 0.1261 0.0396 0.3921
H8 0.1276 0.9244 0.2572
H9 0.1506 0.5633 0.2734
H10 0.1985 0.6821 0.3216
H11 0.2079 0.9866 0.1728
H12 0.2089 0.8039 0.1101
O1 0.0229 0.3918 0.5000
O2 0.0533 0.3273 0.1747
O3 0.0796 0.1930 0.2867
O4 0.0824 0.0989 0.0000
O5 0.1177 0.4404 0.0000
O6 0.1244 0.9753 0.2071
O7 0.1274 0.0719 0.5000
O8 0.1382 0.5115 0.3055
O9 0.1444 0.8400 0.3233
O10 0.1793 0.6526 0.2076
O11 0.2196 0.7303 0.5000
O12 0.2489 0.7843 0.0000
```

Magnetic moment   0.11 μB/f.u.
Crystal system   orthorhombic
Energy of formation   -3039 kJ/mol of formula units

---

Q: The lowest energy of formation belongs to which entry?
A: Nd2V2H2Se4O17

---

Q: Which of these has the highest energy of formation?
A: Na4VHO5

---

Q: Which of these has the lowest energy of formation?
A: Nd2V2H2Se4O17